# 1
# USiAu

Crystalline USiAu at its relaxed geometry (GGA-PBE, the Materials Project database).

Output
energy of formation from the pure elements = -0.216 eV/atom
crystal system = hexagonal
uncorrected energy = -6.880 eV per atom
symmetry = No. 187

Lattice parameters (Å, degrees): 4.290 4.290 3.922 90.00 90.00 120.00
Element x y z (fractional)
U (0.667, 0.333, 0.000)
Si (0.000, 0.000, 0.500)
Au (0.333, 0.667, 0.500)

=====

# 2
# YSi2Au2

Crystalline YSi2Au2 at its relaxed geometry (GGA-PBE, the Materials Project database).

Output
energy of formation from the pure elements = -0.560 eV/atom
crystal system = tetragonal
uncorrected energy = -5.333 eV per atom
symmetry = No. 139

Lattice parameters (Å, degrees): 5.969 5.969 5.969 138.10 138.10 60.75
Element x y z (fractional)
Y (0.000, 0.000, 0.000)
Si (0.388, 0.388, 0.000)
Si (0.612, 0.612, 0.000)
Au (0.250, 0.750, 0.500)
Au (0.750, 0.250, 0.500)

=====

# 3
# YSiAu

Crystalline YSiAu at its relaxed geometry (GGA-PBE, the Materials Project database).

Output
energy of formation from the pure elements = -0.827 eV/atom
crystal system = hexagonal
uncorrected energy = -5.883 eV per atom
symmetry = No. 186

Lattice parameters (Å, degrees): 4.332 4.332 7.657 90.00 90.00 120.00
Element x y z (fractional)
Y (0.000, 0.000, 0.500)
Y (0.000, 0.000, 0.000)
Si (0.667, 0.333, 0.724)
Si (0.333, 0.667, 0.224)
Au (0.333, 0.667, 0.767)
Au (0.667, 0.333, 0.267)